Computed, not measured: a geometry-optimized BaYMnCoO5 structure at the PBE with a Hubbard U level of DFT.

Values from the calculation:
* final energy: -0.2693 hartree per atom
* offset from the most stable computed form: 14 meV/atom
* formation energy: -2.588 eV per atom
* crystal system: triclinic

The structure in CIF format:
```
data_BaYMnCoO5
_chemical_formula_sum 'Ba2 Y2 Mn2 Co2 O10'
_cell_length_a 5.591
_cell_length_b 5.592
_cell_length_c 7.771
_cell_angle_alpha 90.01
_cell_angle_beta 90.03
_cell_angle_gamma 91.11
_space_group_name_H-M_alt 'P 1'
_space_group_IT_number 1
loop_
_space_group_symop_operation_xyz
'x,y,z'
loop_
_atom_site_label
_atom_site_fract_x
_atom_site_fract_y
_atom_site_fract_z
_atom_site_occupancy
Ba1 0.000 0.000 0.000 1
Ba2 0.497 0.503 0.001 1
Y1 0.001 0.002 0.489 1
Y2 0.499 0.504 0.489 1
Mn1 0.000 0.503 0.716 1
Mn2 0.500 0.003 0.736 1
Co1 0.500 0.003 0.253 1
Co2 0.994 0.497 0.247 1
O1 0.001 0.504 0.988 1
O2 0.240 0.263 0.675 1
O3 0.241 0.745 0.665 1
O4 0.243 0.262 0.307 1
O5 0.268 0.771 0.307 1
O6 0.501 0.004 0.002 1
O7 0.734 0.237 0.307 1
O8 0.758 0.261 0.665 1
O9 0.758 0.746 0.307 1
O10 0.759 0.743 0.675 1
```

***

Computed, not measured: a geometry-optimized Li2Mn3SbO8 structure at the PBE with a Hubbard U level of DFT.

Values from the calculation:
* final energy: -0.2436 hartree per atom
* offset from the most stable computed form: 91 meV/atom
* formation energy: -2.021 eV per atom
* crystal system: triclinic

The structure in CIF format:
```
data_Li2Mn3SbO8
_chemical_formula_sum 'Li2 Mn3 Sb1 O8'
_cell_length_a 6.043
_cell_length_b 6.077
_cell_length_c 6.097
_cell_angle_alpha 117.71
_cell_angle_beta 119.62
_cell_angle_gamma 90.08
_space_group_name_H-M_alt 'P 1'
_space_group_IT_number 1
loop_
_space_group_symop_operation_xyz
'x,y,z'
loop_
_atom_site_label
_atom_site_fract_x
_atom_site_fract_y
_atom_site_fract_z
_atom_site_occupancy
Li1 0.000 0.000 0.000 1
Li2 0.500 0.000 0.000 1
Mn1 0.000 0.500 0.999 1
Mn2 0.499 0.000 0.500 1
Mn3 0.500 0.500 0.000 1
Sb1 0.999 0.000 0.500 1
O1 0.233 0.193 0.457 1
O2 0.244 0.244 0.948 1
O3 0.258 0.789 0.508 1
O4 0.306 0.757 0.069 1
O5 0.693 0.242 0.931 1
O6 0.741 0.211 0.492 1
O7 0.756 0.756 0.052 1
O8 0.766 0.807 0.543 1
```

***

Computed, not measured: a geometry-optimized Rb2MnP2H3O8F2 structure at the PBE with a Hubbard U level of DFT.

Values from the calculation:
* final energy: -0.2246 hartree per atom
* formation energy: -2.365 eV per atom
* crystal system: monoclinic

The structure in CIF format:
```
data_Rb2MnP2H3O8F2
_chemical_formula_sum 'Rb4 Mn2 P4 H6 O16 F4'
_cell_length_a 7.525
_cell_length_b 8.106
_cell_length_c 8.644
_cell_angle_alpha 90.00
_cell_angle_beta 114.90
_cell_angle_gamma 90.00
_space_group_name_H-M_alt 'P 1'
_space_group_IT_number 1
loop_
_space_group_symop_operation_xyz
'x,y,z'
loop_
_atom_site_label
_atom_site_fract_x
_atom_site_fract_y
_atom_site_fract_z
_atom_site_occupancy
Rb1 0.131 0.000 0.445 1
Rb2 0.137 0.828 0.940 1
Rb3 0.863 0.328 0.060 1
Rb4 0.869 0.500 0.555 1
Mn1 0.499 0.159 0.247 1
Mn2 0.501 0.659 0.753 1
P1 0.312 0.294 0.860 1
P2 0.325 0.523 0.367 1
P3 0.675 0.023 0.633 1
P4 0.688 0.794 0.140 1
H1 0.026 0.659 0.251 1
H2 0.287 0.377 0.562 1
H3 0.289 0.450 0.056 1
H4 0.711 0.950 0.944 1
H5 0.713 0.877 0.438 1
H6 0.974 0.159 0.749 1
O1 0.151 0.177 0.745 1
O2 0.167 0.644 0.243 1
O3 0.205 0.427 0.931 1
O4 0.209 0.397 0.432 1
O5 0.407 0.384 0.757 1
O6 0.422 0.436 0.265 1
O7 0.475 0.209 0.017 1
O8 0.481 0.612 0.523 1
O9 0.519 0.112 0.477 1
O10 0.525 0.709 0.983 1
O11 0.578 0.936 0.735 1
O12 0.593 0.884 0.243 1
O13 0.791 0.897 0.568 1
O14 0.795 0.927 0.069 1
O15 0.833 0.144 0.757 1
O16 0.849 0.677 0.255 1
F1 0.232 0.106 0.163 1
F2 0.233 0.715 0.666 1
F3 0.767 0.215 0.334 1
F4 0.768 0.606 0.837 1
```